Arrangement P

ZnSnO2, optimized geometry, DFT PBE; calculated density = 5261 kg/m3; total magnetization = 0.00 Bohr magnetons per cell; space-group type = P1 (1)
1.0
3.1552 0.0000 0.0000
-1.3181 8.4997 0.0000
-1.0903 -3.7232 10.1744
Zn Sn O
4 4 8
Direct
0.0000 0.0000 0.0000 Zn
0.1318 0.6235 0.3912 Zn
0.4154 0.7119 0.0790 Zn
0.6934 0.9120 0.3142 Zn
0.2580 0.6641 0.7505 Sn
0.3458 0.2676 0.3218 Sn
0.7593 0.3564 0.0727 Sn
0.8888 0.9589 0.6414 Sn
0.1597 0.2141 0.9637 O
0.2760 0.0646 0.3744 O
0.3516 0.4534 0.2203 O
0.4202 0.8510 0.9529 O
0.7133 0.7726 0.4396 O
0.7491 0.1715 0.1738 O
0.8320 0.5592 0.0197 O
0.9475 0.4107 0.4303 O

Arrangement Q

ZnSnO2, optimized geometry, DFT PBE; calculated density = 5273 kg/m3; total magnetization = 0.00 Bohr magnetons per cell; space-group type = P1 (1)
1.0
3.3373 0.0000 0.0000
1.2793 8.3369 0.0000
0.3501 1.6376 9.7846
Zn Sn O
4 4 8
Direct
0.0000 0.0000 0.0000 Zn
0.0184 0.6909 0.8448 Zn
0.5251 0.9356 0.3149 Zn
0.5775 0.6965 0.1326 Zn
0.1856 0.5733 0.4749 Sn
0.3384 0.0783 0.6972 Sn
0.5554 0.3676 0.9379 Sn
0.9111 0.2738 0.2772 Sn
0.1049 0.6466 0.0508 O
0.1331 0.2232 0.8534 O
0.3575 0.3576 0.3902 O
0.5057 0.9544 0.1035 O
0.5671 0.5824 0.7961 O
0.6341 0.6855 0.3434 O
0.9035 0.9362 0.8085 O
0.9823 0.0278 0.3736 O

Which is most stable, and by how much? arrangement Q, by 0.077 eV/atom.

Arrangement P

ZnSnO2, optimized geometry, DFT PBE; calculated density = 5530 kg/m3; total magnetization = 0.00 Bohr magnetons per cell; space-group type = P-1 (2)
1.0
3.3636 0.0000 0.0000
0.0936 8.6538 0.0000
0.0435 1.3652 8.9174
Zn Sn O
4 4 8
Direct
0.1341 0.2929 0.0379 Zn
0.3032 0.8733 0.2299 Zn
0.6968 0.1267 0.7701 Zn
0.8659 0.7071 0.9621 Zn
0.2036 0.8359 0.6447 Sn
0.4921 0.4436 0.6969 Sn
0.5079 0.5564 0.3031 Sn
0.7964 0.1641 0.3553 Sn
0.1104 0.6161 0.7860 O
0.1924 0.2187 0.6781 O
0.2761 0.1037 0.2100 O
0.3726 0.7028 0.0818 O
0.6274 0.2972 0.9182 O
0.7239 0.8963 0.7900 O
0.8076 0.7813 0.3219 O
0.8896 0.3839 0.2140 O

Arrangement Q

ZnSnO2, optimized geometry, DFT PBE; calculated density = 5567 kg/m3; total magnetization = 0.00 Bohr magnetons per cell; space-group type = P-1 (2)
1.0
3.3742 0.0000 0.0000
0.7176 8.3511 0.0000
1.4744 0.2587 9.1515
Zn Sn O
4 4 8
Direct
0.1153 0.0282 0.2892 Zn
0.2923 0.2382 0.9070 Zn
0.7077 0.7618 0.0930 Zn
0.8847 0.9718 0.7108 Zn
0.3513 0.2873 0.5497 Sn
0.3585 0.6270 0.8356 Sn
0.6415 0.3730 0.1644 Sn
0.6487 0.7127 0.4503 Sn
0.0819 0.8345 0.5378 O
0.2088 0.1999 0.1301 O
0.2428 0.6332 0.0687 O
0.3489 0.1053 0.7328 O
0.6511 0.8947 0.2672 O
0.7572 0.3668 0.9313 O
0.7912 0.8001 0.8699 O
0.9181 0.1655 0.4622 O

Which is most stable, and by how much? arrangement Q, by 0.098 eV/atom.

Arrangement P

Zn2Sn3O8, optimized geometry, DFT PBE; calculated density = 6182 kg/m3; total magnetization = 0.01 Bohr magnetons per cell; space-group type = P6_3mc (186); piezoelectric modulus e_max = 0.228 C/m²
1.0
6.3349 0.0000 0.0000
-3.1675 5.4862 0.0000
0.0000 0.0000 9.5061
Zn Sn O
4 6 16
Direct
0.3333 0.6667 0.0000 Zn
0.3333 0.6667 0.3644 Zn
0.6667 0.3333 0.5000 Zn
0.6667 0.3333 0.8644 Zn
0.1641 0.3282 0.7046 Sn
0.1641 0.8359 0.7046 Sn
0.3282 0.1641 0.2046 Sn
0.6718 0.8359 0.7046 Sn
0.8359 0.1641 0.2046 Sn
0.8359 0.6718 0.2046 Sn
0.0000 0.0000 0.3179 O
0.0000 0.0000 0.8179 O
0.0328 0.5164 0.8303 O
0.1665 0.3330 0.0994 O
0.1665 0.8335 0.0994 O
0.3330 0.1665 0.5994 O
0.3333 0.6667 0.5866 O
0.4836 0.5164 0.8303 O
0.4836 0.9672 0.8303 O
0.5164 0.0328 0.3303 O
0.5164 0.4836 0.3303 O
0.6667 0.3333 0.0866 O
0.6670 0.8335 0.0994 O
0.8335 0.1665 0.5994 O
0.8335 0.6670 0.5994 O
0.9672 0.4836 0.3303 O

Arrangement Q

Zn2Sn3O8, optimized geometry, DFT PBE; calculated density = 6053 kg/m3; total magnetization = 0.00 Bohr magnetons per cell; space-group type = C2/m (12)
1.0
5.0590 -3.1085 0.0000
5.0590 3.1085 0.0000
-1.0267 0.0000 5.3636
Zn Sn O
2 3 8
Direct
0.2023 0.2023 0.0835 Zn
0.7977 0.7977 0.9165 Zn
0.2428 0.7572 0.5000 Sn
0.5000 0.5000 0.0000 Sn
0.7572 0.2428 0.5000 Sn
0.1096 0.1096 0.3772 O
0.1468 0.6051 0.1348 O
0.3949 0.8532 0.8652 O
0.3960 0.3960 0.6344 O
0.6040 0.6040 0.3656 O
0.6051 0.1468 0.1348 O
0.8532 0.3949 0.8652 O
0.8904 0.8904 0.6228 O

Which is most stable, and by how much? arrangement P, by 0.017 eV/atom.

Arrangement P

Sr5Ta4O15, optimized geometry, DFT PBE; calculated density = 7025 kg/m3; space-group type = P-3m1 (164)
1.0
5.7154 0.0000 0.0000
-2.8577 4.9497 0.0000
0.0000 0.0000 11.7132
Sr Ta O
5 4 15
Direct
0.0000 0.0000 0.0000 Sr
0.3333 0.6667 0.4439 Sr
0.3333 0.6667 0.7783 Sr
0.6667 0.3333 0.2217 Sr
0.6667 0.3333 0.5561 Sr
0.0000 0.0000 0.3149 Ta
0.0000 0.0000 0.6851 Ta
0.3333 0.6667 0.1039 Ta
0.6667 0.3333 0.8961 Ta
0.0000 0.5000 0.0000 O
0.1648 0.3296 0.1913 O
0.1648 0.8352 0.1913 O
0.1684 0.3368 0.6105 O
0.1684 0.8316 0.6105 O
0.3296 0.1648 0.8087 O
0.3368 0.1684 0.3895 O
0.5000 0.0000 0.0000 O
0.5000 0.5000 0.0000 O
0.6632 0.8316 0.6105 O
0.6704 0.8352 0.1913 O
0.8316 0.1684 0.3895 O
0.8316 0.6632 0.3895 O
0.8352 0.1648 0.8087 O
0.8352 0.6704 0.8087 O

Arrangement Q

Sr5Ta4O15, optimized geometry, DFT PBE; calculated density = 7075 kg/m3; space-group type = P-3c1 (165)
1.0
5.7089 0.0000 0.0000
-2.8544 4.9440 0.0000
0.0000 0.0000 23.3154
Sr Ta O
10 8 30
Direct
0.0000 0.0000 0.2500 Sr
0.0000 0.0000 0.7500 Sr
0.3333 0.6667 0.1387 Sr
0.3333 0.6667 0.4719 Sr
0.3333 0.6667 0.6387 Sr
0.3333 0.6667 0.9719 Sr
0.6667 0.3333 0.0281 Sr
0.6667 0.3333 0.3613 Sr
0.6667 0.3333 0.5281 Sr
0.6667 0.3333 0.8613 Sr
0.0000 0.0000 0.0928 Ta
0.0000 0.0000 0.4072 Ta
0.0000 0.0000 0.5928 Ta
0.0000 0.0000 0.9072 Ta
0.3333 0.6667 0.3019 Ta
0.3333 0.6667 0.8019 Ta
0.6667 0.3333 0.1981 Ta
0.6667 0.3333 0.6981 Ta
0.0000 0.4597 0.2500 O
0.0000 0.5403 0.7500 O
0.1013 0.3311 0.0559 O
0.1013 0.7702 0.5559 O
0.1220 0.3314 0.8456 O
0.1220 0.7906 0.3456 O
0.2094 0.3314 0.3456 O
0.2094 0.8780 0.8456 O
0.2298 0.3311 0.5559 O
0.2298 0.8987 0.0559 O
0.3311 0.1013 0.4441 O
0.3314 0.1220 0.6544 O
0.3314 0.2094 0.1544 O
0.3311 0.2298 0.9441 O
0.4597 0.0000 0.2500 O
0.4597 0.4597 0.7500 O
0.5403 0.0000 0.7500 O
0.5403 0.5403 0.2500 O
0.6689 0.7702 0.0559 O
0.6686 0.7906 0.8456 O
0.6686 0.8780 0.3456 O
0.6689 0.8987 0.5559 O
0.7702 0.1013 0.9441 O
0.7702 0.6689 0.4441 O
0.7906 0.1220 0.1544 O
0.7906 0.6686 0.6544 O
0.8780 0.2094 0.6544 O
0.8780 0.6686 0.1544 O
0.8987 0.2298 0.4441 O
0.8987 0.6689 0.9441 O

Which is most stable, and by how much? arrangement Q, by 0.016 eV/atom.

Arrangement P

SrTa2O7, optimized geometry, DFT PBE; calculated density = 6202 kg/m3; total magnetization = 2.00 Bohr magnetons per cell; space-group type = I4/mmm (139)
1.0
-1.9883 1.9883 9.5069
1.9883 -1.9883 9.5069
1.9883 1.9883 -9.5069
Sr Ta O
1 2 7
Direct
0.0000 0.0000 0.0000 Sr
0.3849 0.3849 0.0000 Ta
0.6151 0.6151 0.0000 Ta
0.0995 0.5995 0.5000 O
0.2885 0.2885 0.0000 O
0.4005 0.9005 0.5000 O
0.5000 0.5000 0.0000 O
0.5995 0.0995 0.5000 O
0.7115 0.7115 0.0000 O
0.9005 0.4005 0.5000 O

Arrangement Q

SrTa2O7, optimized geometry, DFT PBE; calculated density = 6355 kg/m3; total magnetization = 0.00 Bohr magnetons per cell; space-group type = P4/mmm (123)
1.0
3.9826 0.0000 0.0000
0.0000 3.9826 0.0000
0.0000 0.0000 9.2509
Sr Ta O
1 2 7
Direct
0.0000 0.0000 0.0000 Sr
0.5000 0.5000 0.2217 Ta
0.5000 0.5000 0.7783 Ta
0.0000 0.5000 0.1981 O
0.0000 0.5000 0.8019 O
0.5000 0.0000 0.1981 O
0.5000 0.0000 0.8019 O
0.5000 0.5000 0.0000 O
0.5000 0.5000 0.4274 O
0.5000 0.5000 0.5726 O

Which is most stable, and by how much? arrangement P, by 0.175 eV/atom.

Arrangement P

Sr5ZrTi4O15, optimized geometry, DFT PBE; calculated density = 4999 kg/m3; total magnetization = 0.00 Bohr magnetons per cell; space-group type = Cmmm (65)
1.0
2.8176 -14.1027 0.0000
2.8176 14.1027 0.0000
0.0000 0.0000 4.0159
Sr Zr Ti O
5 1 4 15
Direct
0.0000 0.0000 0.0000 Sr
0.2007 0.7993 0.0000 Sr
0.3948 0.6052 0.0000 Sr
0.6052 0.3948 0.0000 Sr
0.7993 0.2007 0.0000 Sr
0.5000 0.5000 0.5000 Zr
0.1024 0.8976 0.5000 Ti
0.2989 0.7011 0.5000 Ti
0.7011 0.2989 0.5000 Ti
0.8976 0.1024 0.5000 Ti
0.0000 0.5000 0.5000 O
0.1012 0.4046 0.5000 O
0.1038 0.8962 0.0000 O
0.1864 0.2923 0.5000 O
0.2923 0.1864 0.5000 O
0.2993 0.7007 0.0000 O
0.4046 0.1012 0.5000 O
0.5000 0.0000 0.5000 O
0.5000 0.5000 0.0000 O
0.5954 0.8988 0.5000 O
0.7007 0.2993 0.0000 O
0.7077 0.8136 0.5000 O
0.8136 0.7077 0.5000 O
0.8962 0.1038 0.0000 O
0.8988 0.5954 0.5000 O

Arrangement Q

Sr5ZrTi4O15, optimized geometry, DFT PBE; calculated density = 5003 kg/m3; total magnetization = 0.00 Bohr magnetons per cell; space-group type = R-3m (166)
1.0
2.8229 1.6298 11.5518
-2.8229 1.6298 11.5518
0.0000 -3.2596 11.5518
Sr Zr Ti O
5 1 4 15
Direct
0.0000 0.0000 0.0000 Sr
0.2023 0.2023 0.2023 Sr
0.3977 0.3977 0.3977 Sr
0.6023 0.6023 0.6023 Sr
0.7977 0.7977 0.7977 Sr
0.5000 0.5000 0.5000 Zr
0.0980 0.0980 0.0980 Ti
0.3005 0.3005 0.3005 Ti
0.6995 0.6995 0.6995 Ti
0.9020 0.9020 0.9020 Ti
0.0000 0.5000 0.5000 O
0.1020 0.1020 0.6001 O
0.1020 0.6001 0.1020 O
0.1918 0.7076 0.7076 O
0.2924 0.2924 0.8082 O
0.2924 0.8082 0.2924 O
0.3999 0.8980 0.8980 O
0.5000 0.0000 0.5000 O
0.5000 0.5000 0.0000 O
0.6001 0.1020 0.1020 O
0.7076 0.1918 0.7076 O
0.7076 0.7076 0.1918 O
0.8082 0.2924 0.2924 O
0.8980 0.3999 0.8980 O
0.8980 0.8980 0.3999 O

Which is most stable, and by how much? arrangement Q, by 0.012 eV/atom.

Arrangement P

Sr4ZrTi3O12, optimized geometry, DFT PBE; calculated density = 4972 kg/m3; total magnetization = 0.00 Bohr magnetons per cell; space-group type = P4/mmm (123)
1.0
4.0281 0.0000 0.0000
0.0000 4.0281 0.0000
0.0000 0.0000 15.9986
Sr Zr Ti O
4 1 3 12
Direct
0.0000 0.0000 0.1220 Sr
0.0000 0.0000 0.3636 Sr
0.0000 0.0000 0.6364 Sr
0.0000 0.0000 0.8780 Sr
0.5000 0.5000 0.5000 Zr
0.5000 0.5000 0.0000 Ti
0.5000 0.5000 0.2454 Ti
0.5000 0.5000 0.7546 Ti
0.0000 0.5000 0.0000 O
0.0000 0.5000 0.2452 O
0.0000 0.5000 0.5000 O
0.0000 0.5000 0.7548 O
0.5000 0.0000 0.0000 O
0.5000 0.0000 0.2452 O
0.5000 0.0000 0.5000 O
0.5000 0.0000 0.7548 O
0.5000 0.5000 0.1223 O
0.5000 0.5000 0.3657 O
0.5000 0.5000 0.6343 O
0.5000 0.5000 0.8777 O

Arrangement Q

Sr4ZrTi3O12, optimized geometry, DFT PBE; calculated density = 4991 kg/m3; total magnetization = 0.00 Bohr magnetons per cell; space-group type = Pmmm (47)
1.0
4.0373 0.0000 0.0000
0.0000 5.6573 0.0000
0.0000 0.0000 11.3238
Sr Zr Ti O
4 1 3 12
Direct
0.0000 0.0000 0.0000 Sr
0.0000 0.0000 0.5000 Sr
0.0000 0.5000 0.2377 Sr
0.0000 0.5000 0.7623 Sr
0.5000 0.5000 0.5000 Zr
0.5000 0.0000 0.2451 Ti
0.5000 0.0000 0.7549 Ti
0.5000 0.5000 0.0000 Ti
0.0000 0.0000 0.2416 O
0.0000 0.0000 0.7584 O
0.0000 0.5000 0.0000 O
0.0000 0.5000 0.5000 O
0.5000 0.2396 0.3678 O
0.5000 0.2396 0.6322 O
0.5000 0.2523 0.1221 O
0.5000 0.2523 0.8779 O
0.5000 0.7477 0.1221 O
0.5000 0.7477 0.8779 O
0.5000 0.7604 0.3678 O
0.5000 0.7604 0.6322 O

Which is most stable, and by how much? arrangement Q, by 0.009 eV/atom.